[1]
Compound: TbAl3Cl12
Source: Materials Project
Functional: r2SCAN
Structure: optimized geometry

Cell: 10.6241 10.6202 15.7710 Å, 90.00 90.00 119.99°
Atoms (fractional coordinates):
1 Al 0.4588 0.0299 0.3978
2 Cl 0.8392 0.5083 0.7976
3 Cl 0.7952 0.1562 0.9561
4 Cl 0.5551 0.5452 0.7222
5 Cl 0.1310 0.8736 0.9465
6 Cl 0.3366 0.8286 0.4570
7 Cl 0.8438 0.6393 0.2895
8 Cl 0.4924 0.8286 0.8760
9 Cl 0.1676 0.1668 0.8501
10 Cl 0.1713 0.5073 0.7902
11 Al 0.4588 0.4289 0.6022
12 Cl 0.5551 0.0099 0.2778
13 Cl 0.6693 0.1610 0.4642
14 Al 0.9701 0.5413 0.2689
15 Cl 0.4924 0.6638 0.1240
16 Cl 0.8392 0.3308 0.2024
17 Cl 0.4913 0.3305 0.1311
18 Cl 0.1713 0.6640 0.2098
19 Cl 0.1262 0.8687 0.7205
20 Cl 0.1262 0.2575 0.2795
21 Cl 0.7425 0.8737 0.3871
22 Cl 0.9996 0.1669 0.4832
23 Cl 0.8332 0.8327 0.8167
24 Cl 0.9996 0.8327 0.5168
25 Al 0.8732 0.9366 0.5000
26 Cl 0.1310 0.2575 0.0535
27 Cl 0.7425 0.8688 0.6129
28 Cl 0.3606 0.1560 0.3771
29 Al 0.5709 0.0298 0.9353
30 Tb 0.3235 0.1617 0.0000
31 Cl 0.4547 0.0096 0.0552
32 Cl 0.3366 0.5080 0.5430
33 Cl 0.9904 0.4450 0.3888
34 Tb 0.8383 0.6766 0.6667
35 Cl 0.3606 0.2046 0.6230
36 Cl 0.1676 0.0008 0.1499
37 Cl 0.4913 0.1608 0.8689
38 Cl 0.8332 0.0005 0.1833
39 Cl 0.4547 0.4451 0.9448
40 Cl 0.7952 0.6390 0.0439
41 Al 0.0635 0.1271 0.1665
42 Cl 0.8438 0.2045 0.7105
43 Cl 0.6693 0.5083 0.5358
44 Al 0.0635 0.9364 0.8335
45 Al 0.9701 0.4288 0.7311
46 Cl 0.9904 0.5454 0.6112
47 Al 0.5710 0.5411 0.0647
48 Tb 0.8383 0.1617 0.3333



[2]
Compound: Li2GeF6
Source: Materials Project
Functional: r2SCAN
Structure: optimized geometry

Cell: 4.5379 4.5379 8.7233 Å, 90.00 90.00 90.00°
Atoms (fractional coordinates):
1 F 0.1917 0.8083 0.8480
2 Ge 0.5000 0.5000 0.5000
3 Li 0.5000 0.5000 0.1621
4 Li 0.5000 0.5000 0.8379
5 F 0.3083 0.3083 0.3480
6 F 0.2176 0.7824 0.5000
7 F 0.6917 0.6917 0.3480
8 F 0.7176 0.7176 0.0000
9 F 0.2824 0.2824 0.0000
10 F 0.3083 0.3083 0.6520
11 F 0.8083 0.1917 0.8480
12 Ge 0.0000 0.0000 0.0000
13 F 0.7824 0.2176 0.5000
14 F 0.1917 0.8083 0.1520
15 F 0.8083 0.1917 0.1520
16 F 0.6917 0.6917 0.6520
17 Li 0.0000 0.0000 0.6621
18 Li 0.0000 0.0000 0.3379

Properties
**E above lowest polymorph**: 0 meV per atom



[3]
Compound: U2SeN2
Source: Materials Project
Functional: r2SCAN
Structure: optimized geometry

Cell: 3.8440 3.8440 7.0027 Å, 90.00 90.00 120.00°
Atoms (fractional coordinates):
1 U 0.3333 0.6667 0.2980
2 Se 0.0000 0.0000 0.0000
3 N 0.6667 0.3333 0.3733
4 N 0.3333 0.6667 0.6267
5 U 0.6667 0.3333 0.7020



[4]
Compound: La4MgCo
Source: Materials Project
Functional: r2SCAN
Structure: optimized geometry

Cell: 10.0259 10.0259 10.0258 Å, 60.00 60.00 60.00°
Atoms (fractional coordinates):
1 La 0.1877 0.1877 0.8123
2 La 0.9407 0.5593 0.9407
3 La 0.9407 0.5593 0.5593
4 La 0.3434 0.9698 0.3434
5 La 0.8123 0.1877 0.8123
6 Co 0.1401 0.1401 0.1401
7 Co 0.1401 0.5798 0.1401
8 La 0.3434 0.3434 0.9698
9 La 0.3434 0.3434 0.3434
10 La 0.1877 0.8123 0.8123
11 Co 0.5798 0.1401 0.1401
12 La 0.5593 0.5593 0.9407
13 La 0.8123 0.8123 0.1877
14 La 0.1877 0.8123 0.1877
15 La 0.9407 0.9407 0.5593
16 Mg 0.2664 0.5779 0.5779
17 La 0.9698 0.3434 0.3434
18 Mg 0.5779 0.5779 0.5779
19 La 0.5593 0.9407 0.9407
20 Mg 0.5779 0.5779 0.2664
21 La 0.8123 0.1877 0.1877
22 Co 0.1401 0.1401 0.5798
23 La 0.5593 0.9407 0.5593
24 Mg 0.5779 0.2664 0.5779



[5]
Compound: TbAl2Ni
Source: Materials Project
Functional: r2SCAN
Structure: optimized geometry

Cell: 4.0202 5.5440 6.8525 Å, 90.00 90.00 111.26°
Atoms (fractional coordinates):
1 Al 0.6625 0.3250 0.0554
2 Al 0.3375 0.6750 0.9446
3 Al 0.6625 0.3250 0.4446
4 Tb 0.0585 0.1169 0.7500
5 Ni 0.7837 0.5674 0.7500
6 Tb 0.9415 0.8831 0.2500
7 Al 0.3375 0.6750 0.5554
8 Ni 0.2163 0.4326 0.2500



[6]
Compound: ErTmTl2
Source: Materials Project
Functional: r2SCAN
Structure: optimized geometry

Cell: 5.2751 5.2751 5.2751 Å, 60.00 60.00 60.00°
Atoms (fractional coordinates):
1 Tl 0.2500 0.2500 0.2500
2 Er 0.5000 0.5000 0.5000
3 Tm 0.0000 0.0000 0.0000
4 Tl 0.7500 0.7500 0.7500



[7]
Compound: Ba2CoO4
Source: Materials Project
Functional: r2SCAN
Structure: optimized geometry

Cell: 7.6657 5.9931 11.8155 Å, 61.97 90.00 90.00°
Atoms (fractional coordinates):
1 O 0.3260 0.1383 0.3607
2 O 0.7845 0.3411 0.1779
3 O 0.5060 0.3015 0.9225
4 O 0.3180 0.2295 0.5763
5 Ba 0.1496 0.6784 0.0813
6 O 0.1820 0.2295 0.0763
7 O 0.6740 0.8617 0.6393
8 Co 0.2756 0.3361 0.9184
9 Ba 0.5046 0.0435 0.1898
10 Ba 0.8504 0.3216 0.9187
11 Ba 0.6496 0.3216 0.4187
12 Ba 0.4954 0.9565 0.8102
13 Ba 0.9954 0.0435 0.6898
14 O 0.0060 0.6985 0.5775
15 O 0.8181 0.7705 0.9237
16 Ba 0.3504 0.6784 0.5813
17 O 0.6819 0.7705 0.4237
18 O 0.2845 0.6589 0.3221
19 O 0.8260 0.8617 0.1393
20 Co 0.7756 0.6639 0.5816
21 O 0.9940 0.3015 0.4225
22 O 0.4940 0.6985 0.0775
23 Co 0.2244 0.3361 0.4184
24 Co 0.7244 0.6639 0.0816
25 O 0.7155 0.3411 0.6779
26 O 0.1740 0.1383 0.8607
27 Ba 0.0046 0.9565 0.3102
28 O 0.2155 0.6589 0.8221



[8]
Compound: Gd2CI
Source: Materials Project
Functional: r2SCAN
Structure: optimized geometry

Cell: 3.8234 3.8234 14.8927 Å, 90.00 90.00 120.00°
Atoms (fractional coordinates):
1 C 0.0000 0.0000 0.5000
2 C 0.0000 0.0000 0.0000
3 Gd 0.6667 0.3333 0.9151
4 Gd 0.3333 0.6667 0.4151
5 I 0.3333 0.6667 0.7500
6 Gd 0.3333 0.6667 0.0849
7 I 0.6667 0.3333 0.2500
8 Gd 0.6667 0.3333 0.5849



Number 1: energy of formation -1.902 eV/atom, V 1541.2 Å³ per cell, electronic total energy -9.731 eV per atom. Number 2: energy of formation -2.956 eV/atom, V 179.6 Å³ per cell, electronic total energy -7.112 eV per atom. Number 3: energy of formation -1.861 eV/atom, V 89.6 Å³ per cell, electronic total energy -40.352 eV per atom. Number 4: energy of formation -0.065 eV/atom, V 712.6 Å³ per cell, electronic total energy -22.796 eV per atom. Number 5: energy of formation -0.681 eV/atom, V 142.3 Å³ per cell, electronic total energy -14.849 eV per atom. Number 6: energy of formation -0.394 eV/atom, V 103.8 Å³ per cell, electronic total energy -44.245 eV per atom. Number 7: energy of formation -2.250 eV/atom, V 479.1 Å³ per cell, electronic total energy -15.124 eV per atom. Number 8: energy of formation -0.905 eV/atom, V 188.5 Å³ per cell, electronic total energy -31.230 eV per atom.